Compound: NiSb2O6
Source: Materials Project
Functional: PBE+U
Structure: optimized geometry

POSCAR file:
```
NiSb2O6
1.0
4.7184 0.0000 0.0000
0.0000 -4.7187 9.3667
0.0000 -9.4377 -0.0001
Ni Sb O
4 8 24
Cartesian
2.3590 -11.7968 4.6837 Ni
4.7182 -4.7180 0.0000 Ni
2.3599 -7.0776 4.6829 Ni
4.7182 -0.0006 0.0002 Ni
2.3594 -2.3593 1.5706 Sb
2.3593 -7.0782 1.5703 Sb
4.7183 -4.7187 6.2539 Sb
4.7184 -9.4375 6.2538 Sb
2.3591 -11.7971 7.7962 Sb
2.3590 -7.0783 7.7960 Sb
0.0003 -4.7189 3.1127 Sb
0.0002 -9.4378 3.1127 Sb
0.8986 -10.3366 4.6833 O
0.8987 -5.6178 4.6834 O
3.8198 -3.8199 4.6832 O
3.8199 -8.5387 4.6831 O
1.4606 -3.2584 0.0001 O
1.4605 -7.9774 0.0000 O
3.2579 -6.1794 9.3666 O
3.2580 -10.8980 9.3666 O
0.9297 -0.9301 1.6003 O
0.9298 -5.6487 1.6002 O
3.7888 -3.7889 1.6004 O
3.7888 -8.5078 1.6002 O
1.4295 -3.2894 6.2838 O
1.4296 -8.0082 6.2834 O
3.2889 -10.8671 6.2838 O
3.2890 -6.1482 6.2837 O
3.7887 -13.2265 7.7662 O
3.7887 -8.5076 7.7662 O
0.9297 -10.3675 7.7663 O
0.9297 -5.6488 7.7662 O
3.2890 -10.8672 3.0831 O
3.2891 -6.1483 3.0828 O
1.4296 -3.2894 3.0831 O
1.4297 -8.0082 3.0829 O
```

Calculated volume = 417 Å³/cell
E = -5.9141 eV per atom


Compound: Ni2Sb2O7
Source: Materials Project
Functional: PBE+U
Structure: optimized geometry

POSCAR file:
```
Ni2Sb2O7
1.0
7.1951 -0.1428 -0.4157
3.4480 -6.2961 -0.6583
3.2177 -1.7143 -6.2186
Ni Sb O
4 4 14
Cartesian
5.3302 -1.0905 -1.1194 Ni
3.4566 -4.1672 -1.2407 Ni
3.3414 -1.8763 -4.0209 Ni
1.7326 -1.0191 -0.9116 Ni
5.0655 -5.0244 -4.3500 Sb
6.9390 -1.9477 -4.2287 Sb
7.0542 -4.2386 -1.4486 Sb
8.6630 -5.0957 -4.5579 Sb
8.4609 -5.0504 -2.5860 O
5.4000 -3.1028 -4.7066 O
8.3659 -3.1617 -4.8780 O
5.4949 -4.9915 -2.4146 O
6.8213 -5.6982 -4.9780 O
7.0396 -2.4550 -2.3146 O
8.8652 -5.1411 -6.5298 O
11.9261 -7.0887 -4.4091 O
8.9602 -7.0298 -4.2377 O
11.8311 -5.2000 -6.7011 O
10.5048 -4.4933 -4.1378 O
10.2865 -7.7365 -6.8011 O
3.4652 -2.0383 -1.8231 O
0.0000 0.0000 0.0000 O
```

Calculated volume = 265 Å³/cell
Total magnetic moment = 0.0 Bohr magnetons per cell
E = -5.4285 eV per atom


Compound: Si2Ni13Sb2O28
Source: Materials Project
Functional: PBE+U
Structure: optimized geometry

POSCAR file:
```
Si2Ni13Sb2O28
1.0
-3.3233 3.4420 -2.7268
-4.3540 -5.5354 -4.7743
-9.0356 0.5115 6.4902
Si Ni Sb O
2 13 2 28
Cartesian
-14.5685 -0.6215 1.1054 Si
-2.1443 -0.9604 -2.1164 Si
-9.1659 -0.4604 1.7488 Ni
-4.8183 -2.7634 -2.6827 Ni
-12.1448 0.0404 -1.0520 Ni
-7.5469 -1.1214 -2.7598 Ni
-11.8946 1.1816 1.6717 Ni
-4.8317 1.1834 2.0154 Ni
-4.9944 0.3670 -2.5336 Ni
0.0000 0.0000 0.0000 Ni
-7.1073 -3.9577 -4.9668 Ni
-11.7184 -1.9489 1.5226 Ni
-4.5680 -1.6222 0.0410 Ni
-9.6055 2.3758 3.9559 Ni
-11.8811 -2.7653 -3.0264 Ni
-9.8128 -2.3875 -5.1728 Sb
-6.9001 0.8057 4.1619 Sb
-8.5117 0.2142 -3.5726 O
-7.2682 -1.8979 -0.9378 O
-3.0433 -3.3304 -3.2712 O
-15.1648 -1.9815 0.3977 O
-9.4446 0.3161 -0.0732 O
-8.2012 -1.7961 2.5616 O
-10.4351 -3.2199 -1.7009 O
-6.2778 1.6380 0.6899 O
-1.5481 0.3996 -1.4086 O
-4.3079 1.9477 -1.5235 O
-5.7149 -1.2879 -3.7419 O
-6.8337 0.4523 -1.9549 O
-8.9763 3.0331 0.4365 O
-5.6574 -4.3600 -3.5446 O
-3.7797 -1.0763 -1.7698 O
-13.6695 1.7485 2.2602 O
-11.0555 2.7781 2.5337 O
-12.4049 -3.5296 0.5125 O
-7.7365 -4.6150 -1.4475 O
-8.3149 -2.6319 -3.7759 O
-8.3980 1.0500 2.7649 O
-12.9331 -0.5056 0.7588 O
-13.0058 -1.5306 -1.9354 O
-10.1715 -0.4218 -0.9321 O
-10.9979 -0.2939 2.7309 O
-3.7070 -0.0513 0.9244 O
-9.8792 -2.0341 0.9439 O
-6.5413 -1.1601 -0.0789 O
```

Calculated volume = 499 Å³/cell
Total magnetic moment = 22.0 Bohr magnetons per cell
E = -5.3805 eV per atom


Compound: Zn2NiSbO6
Source: Materials Project
Functional: PBE+U
Structure: optimized geometry

POSCAR file:
```
Zn2NiSbO6
1.0
-3.6646 -1.3972 -6.5301
-2.8977 -3.6752 2.4125
-3.7599 3.4703 1.3674
Zn Ni Sb O
4 2 2 12
Cartesian
-4.3374 -0.7324 0.3693 Zn
-5.9848 -0.8697 -3.1195 Zn
-4.6140 2.9335 -0.2598 Zn
-5.7082 -4.5356 -2.4904 Zn
-3.7122 1.0366 -2.5813 Ni
-1.8799 1.7352 0.6837 Ni
-3.2811 -2.5362 -2.0588 Sb
-1.4489 -1.8376 1.2062 Sb
-6.5545 -0.9490 -1.1408 O
-7.1036 0.9107 -4.4827 O
-2.4132 -0.1366 0.8042 O
-4.5466 -3.0191 -0.6340 O
-5.7756 1.4170 -2.1162 O
-3.2186 -2.5128 1.7325 O
-4.9419 -2.7532 -3.3018 O
-7.9090 -1.4655 -3.5544 O
-5.8612 -1.5927 1.4086 O
-3.7677 -0.6531 -1.6094 O
-5.3803 1.1511 0.5516 O
-4.4610 -0.0094 -4.1588 O
```

Calculated volume = 212 Å³/cell
Total magnetic moment = 2.0 Bohr magnetons per cell
E = -5.0693 eV per atom


Compound: Zn3Ni4Sb2O12
Source: Materials Project
Functional: PBE+U
Structure: optimized geometry

POSCAR file:
```
Zn3Ni4Sb2O12
1.0
1.5058 -2.6662 5.2790
4.2689 -3.2924 -2.8601
11.3667 6.5175 3.3574
Zn Ni Sb O
6 8 4 24
Cartesian
11.0386 1.9936 4.8285 Zn
5.3447 1.9170 2.9621 Zn
5.3290 -4.4391 3.4458 Zn
6.1028 -1.4346 0.9478 Zn
11.8124 4.9980 2.3305 Zn
11.7967 -1.3581 2.8142 Zn
2.8873 -2.9793 1.2094 Ni
10.6407 1.6626 1.2387 Ni
6.5007 -1.1036 4.5377 Ni
0.7529 -1.3331 2.6395 Ni
8.5707 0.2795 2.8882 Ni
7.8178 1.6126 0.2487 Ni
3.5973 -1.2879 3.5662 Ni
13.5441 1.8469 2.2102 Ni
8.5366 3.2872 2.6697 Sb
8.6047 -2.7282 3.1067 Sb
2.8681 0.0251 0.9473 Sb
14.2733 0.5339 4.8290 Sb
9.2072 0.2924 0.9556 O
5.0289 -2.6176 4.3343 O
10.6381 3.7019 5.7955 O
7.2323 1.8307 2.2865 O
7.3536 -4.3803 2.7913 O
12.9363 1.8720 4.2067 O
10.6915 0.4547 6.0635 O
4.9602 0.2508 4.0903 O
14.9181 3.2306 2.6683 O
9.9132 1.9401 3.1752 O
4.1300 1.6747 1.2311 O
15.6093 1.9832 5.1186 O
7.9341 0.2666 4.8208 O
6.5033 -3.1429 -0.0192 O
12.1125 3.1766 1.4420 O
9.9090 -1.2717 3.4899 O
4.2050 -1.3131 1.5696 O
9.7878 4.9392 2.9850 O
6.4498 0.1043 -0.2872 O
2.2232 -2.6716 3.1080 O
12.1812 0.3082 1.6860 O
7.2282 -1.3811 2.6011 O
1.5320 -1.4242 0.6577 O
13.0114 -1.1157 4.5453 O
```

Calculated volume = 481 Å³/cell
Total magnetic moment = 16.0 Bohr magnetons per cell
E = -5.2835 eV per atom


Compound: NiSeO10
Source: Materials Project
Functional: PBE+U
Structure: optimized geometry

POSCAR file:
```
NiSeO10
1.0
-1.5700 5.7285 2.4095
-2.5315 -2.8592 5.1481
13.5838 0.7403 7.0909
Ni Se O
4 4 40
Cartesian
8.3447 3.8434 8.5059 Ni
1.1377 -0.2338 6.1426 Ni
3.5757 2.6202 9.4718 Ni
-0.8853 0.6193 1.6312 Ni
7.8575 -0.5070 9.8932 Se
1.6248 4.1166 4.7553 Se
5.5994 1.2044 5.7428 Se
-2.9090 2.0351 5.3602 Se
6.8699 2.9533 9.1676 O
0.7655 0.5557 4.5167 O
3.7788 -1.8910 7.2973 O
10.6485 5.7701 9.9325 O
9.5649 2.4606 8.5690 O
1.7643 1.2497 7.0436 O
6.3884 5.0215 6.0891 O
-1.8511 -1.6813 5.9780 O
7.1354 5.1805 8.5842 O
0.6291 -1.6645 5.1675 O
3.3310 3.2017 7.7812 O
11.2254 0.6845 9.5160 O
9.7904 4.6184 7.7540 O
1.4097 -0.9152 7.7912 O
4.8291 1.3330 9.3037 O
-0.4209 2.0001 2.6960 O
7.7601 3.3690 6.7904 O
-0.6392 0.1120 6.6254 O
2.2584 1.3070 9.2474 O
11.6544 2.5440 7.7139 O
8.9307 4.3307 10.2173 O
2.9130 -0.5924 5.6639 O
4.8990 3.9290 9.6850 O
0.1528 -0.5608 2.6507 O
6.5288 -1.4967 9.5279 O
0.4864 4.9719 3.8327 O
3.9260 1.4279 5.9111 O
9.8811 2.4174 10.9949 O
8.9809 -1.3517 10.8435 O
2.9685 5.0958 5.0928 O
6.3966 1.5938 7.1889 O
-1.2391 1.7801 5.2019 O
7.2567 0.8711 10.6649 O
2.0329 2.7280 3.8829 O
6.1027 2.1602 4.4433 O
9.9787 1.8091 13.6500 O
8.6724 0.0260 8.5121 O
1.0027 3.5941 6.2370 O
6.0088 -0.3899 5.3605 O
-3.1256 3.6399 5.8431 O
```

Calculated volume = 630 Å³/cell
Total magnetic moment = 40.0 Bohr magnetons per cell
E = -3.8996 eV per atom


Which of these has the lowest calculated volume?
Zn2NiSbO6


Number 1 is which compound?
NiSb2O6